# 1
DFT (PBE) results for an optimized crystal structure of YB4W3.

```
YB4W3
1.0
3.1286 0.0000 0.0000
0.0000 3.2302 0.0000
0.0000 0.0000 9.4517
Y B W
1 4 3
Direct
0.0000 0.0000 0.0000
0.0000 0.0000 0.3118
0.0000 0.5000 0.7685
0.5000 0.0000 0.4236
0.5000 0.5000 0.8546
0.0000 0.5000 0.5024
0.5000 0.0000 0.6890
0.5000 0.5000 0.2481
```

Summary:
Its formation energy is -0.369 eV per atom. The space group is Pmm2.

# 2
DFT (PBE) results for an optimized crystal structure of Y2Ge6Pt.

```
Y2Ge6Pt
1.0
4.1259 0.0000 0.0000
0.0000 2.0577 10.9503
0.0000 -2.0577 10.9503
Y Ge Pt
2 6 1
Direct
0.0000 0.0000 0.0000
0.0000 0.3369 0.3369
0.0000 0.6008 0.6008
0.0000 0.7148 0.7148
0.5000 0.1001 0.1001
0.5000 0.2144 0.2144
0.5000 0.4603 0.4603
0.5000 0.8908 0.8908
0.5000 0.7801 0.7801
```

Summary:
Its formation energy is -0.539 eV per atom. The space group is Amm2.

# 3
DFT (PBE) results for an optimized crystal structure of CoAsRh.

```
CoAsRh
1.0
5.9599 0.0000 0.0000
0.0000 3.7996 0.0000
0.0000 0.0000 7.0210
Co As Rh
4 4 4
Direct
0.1430 0.2500 0.0624
0.3570 0.7500 0.5624
0.6430 0.2500 0.4376
0.8570 0.7500 0.9376
0.2375 0.7500 0.8753
0.2625 0.2500 0.3753
0.7375 0.7500 0.6247
0.7625 0.2500 0.1247
0.0345 0.2500 0.6705
0.4655 0.7500 0.1705
0.5345 0.2500 0.8295
0.9655 0.7500 0.3295
```

Summary:
Its formation energy is -0.309 eV per atom. The space group is Pnma.